Here is an optimized crystal structure of CuP2H2O6 from the Materials Project. Energies are from GGA-PBE.

Values from the calculation:
- Energy relative to the elements: -1.411 eV/atom
- Space group: P2_1/c (14)
- M_tot: 0.09 μB/atom
- Electronic total energy: -5.709 eV/atom

Cell lengths 7.4421, 9.9257, 7.6328 Å; angles 90.00, 100.63, 90.00 degrees
Positions (direct):
Cu 0.2037 0.0907 0.0625
Cu 0.2037 0.4093 0.5625
Cu 0.7963 0.5907 0.4375
Cu 0.7963 0.9093 0.9375
P 0.0435 0.7055 0.7862
P 0.0435 0.7945 0.2862
P 0.4577 0.0798 0.7798
P 0.4577 0.4202 0.2798
P 0.5423 0.5798 0.7202
P 0.5423 0.9202 0.2202
P 0.9565 0.2055 0.7138
P 0.9565 0.2945 0.2138
H 0.0129 0.6163 0.9218
H 0.0129 0.8837 0.4218
H 0.4620 0.6932 0.6260
H 0.4620 0.8068 0.1260
H 0.5380 0.1932 0.8740
H 0.5380 0.3068 0.3740
H 0.9871 0.1163 0.5782
H 0.9871 0.3837 0.0782
O 0.0101 0.6259 0.6030
O 0.0101 0.8741 0.1030
O 0.1046 0.1811 0.2386
O 0.1046 0.3189 0.7386
O 0.2405 0.7505 0.3166
O 0.2405 0.7495 0.8166
O 0.3112 0.0187 0.8836
O 0.3112 0.4813 0.3836
O 0.3505 0.1169 0.5961
O 0.3505 0.3831 0.0961
O 0.4007 0.0320 0.2378
O 0.4007 0.4680 0.7378
O 0.5993 0.5320 0.2622
O 0.5993 0.9680 0.7622
O 0.6495 0.6169 0.9039
O 0.6495 0.8831 0.4039
O 0.6888 0.5187 0.6164
O 0.6888 0.9813 0.1164
O 0.7595 0.2505 0.1834
O 0.7595 0.2495 0.6834
O 0.8954 0.6811 0.2614
O 0.8954 0.8189 0.7614
O 0.9899 0.1259 0.8970
O 0.9899 0.3741 0.3970